A plane-wave DFT calculation with r2SCAN was carried out for an optimized crystal structure of LaNdTl2.

```
data_LaNdTl2
_cell_length_a 5.567
_cell_length_b 5.567
_cell_length_c 5.567
_cell_angle_alpha 60.00
_cell_angle_beta 60.00
_cell_angle_gamma 60.00
_space_group_name_H-M_alt 'P 1'
_space_group_IT_number 1
loop_
_space_group_symop_operation_xyz
'x,y,z'
loop_
_atom_site_label
_atom_site_fract_x
_atom_site_fract_y
_atom_site_fract_z
La1 0.500 0.500 0.500
Nd1 0.000 0.000 0.000
Tl1 0.750 0.750 0.750
Tl2 0.250 0.250 0.250
```

A plane-wave DFT calculation with r2SCAN was carried out for an optimized crystal structure of Cr2AgTe4.

```
data_Cr2AgTe4
_cell_length_a 8.123
_cell_length_b 8.123
_cell_length_c 8.123
_cell_angle_alpha 60.00
_cell_angle_beta 60.00
_cell_angle_gamma 60.00
_space_group_name_H-M_alt 'P 1'
_space_group_IT_number 1
loop_
_space_group_symop_operation_xyz
'x,y,z'
loop_
_atom_site_label
_atom_site_fract_x
_atom_site_fract_y
_atom_site_fract_z
Cr1 0.125 0.125 0.125
Cr2 0.625 0.125 0.125
Cr3 0.125 0.125 0.625
Cr4 0.125 0.625 0.125
Ag1 0.750 0.750 0.750
Ag2 0.500 0.500 0.500
Te1 0.339 0.887 0.887
Te2 0.363 0.363 0.363
Te3 0.887 0.887 0.339
Te4 0.887 0.339 0.887
Te5 0.363 0.363 0.911
Te6 0.363 0.911 0.363
Te7 0.911 0.363 0.363
Te8 0.887 0.887 0.887
```

A plane-wave DFT calculation with r2SCAN was carried out for an optimized crystal structure of CsAgSe4.

```
data_CsAgSe4
_cell_length_a 5.852
_cell_length_b 9.254
_cell_length_c 14.108
_cell_angle_alpha 90.00
_cell_angle_beta 90.00
_cell_angle_gamma 90.00
_space_group_name_H-M_alt 'P 1'
_space_group_IT_number 1
loop_
_space_group_symop_operation_xyz
'x,y,z'
loop_
_atom_site_label
_atom_site_fract_x
_atom_site_fract_y
_atom_site_fract_z
Cs1 0.337 0.559 0.667
Cs2 0.837 0.941 0.333
Cs3 0.663 0.059 0.833
Cs4 0.163 0.441 0.167
Ag1 0.546 0.127 0.557
Ag2 0.046 0.373 0.443
Ag3 0.454 0.627 0.943
Ag4 0.954 0.873 0.057
Se1 0.874 0.304 0.609
Se2 0.374 0.196 0.391
Se3 0.126 0.804 0.891
Se4 0.626 0.696 0.109
Se5 0.141 0.134 0.669
Se6 0.641 0.366 0.331
Se7 0.859 0.634 0.831
Se8 0.359 0.866 0.169
Se9 0.799 0.132 0.096
Se10 0.299 0.368 0.904
Se11 0.201 0.632 0.404
Se12 0.701 0.868 0.596
Se13 0.410 0.076 0.073
Se14 0.910 0.424 0.927
Se15 0.590 0.576 0.427
Se16 0.090 0.924 0.573
```

A plane-wave DFT calculation with r2SCAN was carried out for an optimized crystal structure of SrTa2O6.

```
data_SrTa2O6
_cell_length_a 5.635
_cell_length_b 7.642
_cell_length_c 11.066
_cell_angle_alpha 90.00
_cell_angle_beta 90.00
_cell_angle_gamma 90.00
_space_group_name_H-M_alt 'P 1'
_space_group_IT_number 1
loop_
_space_group_symop_operation_xyz
'x,y,z'
loop_
_atom_site_label
_atom_site_fract_x
_atom_site_fract_y
_atom_site_fract_z
Sr1 0.962 0.750 0.460
Sr2 0.462 0.250 0.040
Sr3 0.038 0.250 0.540
Sr4 0.538 0.750 0.960
Ta1 0.465 0.495 0.357
Ta2 0.965 0.505 0.143
Ta3 0.535 0.995 0.643
Ta4 0.035 0.005 0.857
Ta5 0.535 0.505 0.643
Ta6 0.035 0.495 0.857
Ta7 0.465 0.005 0.357
Ta8 0.965 0.995 0.143
O1 0.140 0.250 0.871
O2 0.640 0.750 0.629
O3 0.860 0.750 0.129
O4 0.360 0.250 0.371
O5 0.970 0.750 0.854
O6 0.470 0.250 0.646
O7 0.030 0.250 0.146
O8 0.530 0.750 0.354
O9 0.282 0.966 0.524
O10 0.782 0.034 0.976
O11 0.718 0.466 0.476
O12 0.218 0.534 0.024
O13 0.642 0.451 0.214
O14 0.142 0.549 0.286
O15 0.358 0.951 0.786
O16 0.858 0.049 0.714
O17 0.358 0.549 0.786
O18 0.858 0.451 0.714
O19 0.642 0.049 0.214
O20 0.142 0.951 0.286
O21 0.782 0.466 0.976
O22 0.282 0.534 0.524
O23 0.218 0.966 0.024
O24 0.718 0.034 0.476
```

A plane-wave DFT calculation with r2SCAN was carried out for an optimized crystal structure of CsGaH4.

```
data_CsGaH4
_cell_length_a 5.565
_cell_length_b 5.565
_cell_length_c 7.774
_cell_angle_alpha 90.00
_cell_angle_beta 90.00
_cell_angle_gamma 90.00
_space_group_name_H-M_alt 'P 1'
_space_group_IT_number 1
loop_
_space_group_symop_operation_xyz
'x,y,z'
loop_
_atom_site_label
_atom_site_fract_x
_atom_site_fract_y
_atom_site_fract_z
Cs1 0.250 0.750 0.250
Cs2 0.750 0.250 0.750
Ga1 0.750 0.250 0.250
Ga2 0.250 0.750 0.750
H1 0.750 0.017 0.132
H2 0.750 0.483 0.132
H3 0.517 0.250 0.368
H4 0.983 0.250 0.368
H5 0.017 0.750 0.632
H6 0.483 0.750 0.632
H7 0.250 0.517 0.868
H8 0.250 0.983 0.868
```

A plane-wave DFT calculation with r2SCAN was carried out for an optimized crystal structure of Ta4N5.

```
data_Ta4N5
_cell_length_a 4.275
_cell_length_b 5.309
_cell_length_c 5.309
_cell_angle_alpha 80.67
_cell_angle_beta 66.26
_cell_angle_gamma 66.26
_space_group_name_H-M_alt 'P 1'
_space_group_IT_number 1
loop_
_space_group_symop_operation_xyz
'x,y,z'
loop_
_atom_site_label
_atom_site_fract_x
_atom_site_fract_y
_atom_site_fract_z
Ta1 0.783 0.823 0.612
Ta2 0.395 0.388 0.823
Ta3 0.605 0.612 0.177
Ta4 0.217 0.177 0.388
N1 0.500 0.000 0.000
N2 0.908 0.401 0.782
N3 0.691 0.218 0.401
N4 0.309 0.782 0.599
N5 0.092 0.599 0.218
```

A plane-wave DFT calculation with r2SCAN was carried out for an optimized crystal structure of CsK4TlO4.

```
data_CsK4TlO4
_cell_length_a 6.841
_cell_length_b 11.988
_cell_length_c 21.450
_cell_angle_alpha 90.00
_cell_angle_beta 90.00
_cell_angle_gamma 90.00
_space_group_name_H-M_alt 'P 1'
_space_group_IT_number 1
loop_
_space_group_symop_operation_xyz
'x,y,z'
loop_
_atom_site_label
_atom_site_fract_x
_atom_site_fract_y
_atom_site_fract_z
Cs1 0.414 0.659 0.000
Cs2 0.586 0.341 0.000
Cs3 0.086 0.659 0.500
Cs4 0.914 0.841 0.000
Cs5 0.914 0.341 0.500
Cs6 0.586 0.841 0.500
Cs7 0.086 0.159 0.000
Cs8 0.414 0.159 0.500
K1 0.416 0.580 0.749
K2 0.910 0.172 0.825
K3 0.090 0.828 0.175
K4 0.910 0.059 0.433
K5 0.407 0.198 0.144
K6 0.910 0.559 0.067
K7 0.410 0.441 0.433
K8 0.093 0.698 0.856
K9 0.584 0.420 0.251
K10 0.910 0.672 0.675
K11 0.590 0.672 0.175
K12 0.410 0.328 0.825
K13 0.416 0.080 0.751
K14 0.090 0.941 0.567
K15 0.593 0.302 0.644
K16 0.090 0.328 0.325
K17 0.407 0.698 0.356
K18 0.090 0.441 0.933
K19 0.084 0.080 0.251
K20 0.590 0.059 0.933
K21 0.907 0.802 0.356
K22 0.093 0.198 0.644
K23 0.410 0.828 0.675
K24 0.584 0.920 0.249
K25 0.593 0.802 0.856
K26 0.084 0.580 0.249
K27 0.916 0.420 0.751
K28 0.916 0.920 0.749
K29 0.907 0.302 0.144
K30 0.590 0.559 0.567
K31 0.590 0.172 0.325
K32 0.410 0.941 0.067
Tl1 0.807 0.037 0.128
Tl2 0.693 0.037 0.628
Tl3 0.193 0.463 0.628
Tl4 0.807 0.537 0.372
Tl5 0.307 0.963 0.372
Tl6 0.307 0.463 0.128
Tl7 0.693 0.537 0.872
Tl8 0.193 0.963 0.872
O1 0.337 0.880 0.951
O2 0.215 0.872 0.288
O3 0.715 0.362 0.367
O4 0.375 0.043 0.625
O5 0.285 0.638 0.633
O6 0.285 0.872 0.788
O7 0.785 0.128 0.712
O8 0.715 0.128 0.212
O9 0.163 0.880 0.451
O10 0.163 0.380 0.049
O11 0.663 0.120 0.049
O12 0.375 0.543 0.875
O13 0.215 0.372 0.212
O14 0.337 0.380 0.549
O15 0.285 0.138 0.867
O16 0.875 0.957 0.875
O17 0.715 0.862 0.133
O18 0.215 0.638 0.133
O19 0.837 0.120 0.549
O20 0.875 0.457 0.625
O21 0.625 0.457 0.125
O22 0.663 0.620 0.451
O23 0.125 0.543 0.375
O24 0.785 0.862 0.633
O25 0.625 0.957 0.375
O26 0.285 0.372 0.712
O27 0.785 0.362 0.867
O28 0.785 0.628 0.788
O29 0.125 0.043 0.125
O30 0.837 0.620 0.951
O31 0.715 0.628 0.288
O32 0.215 0.138 0.367
```

A plane-wave DFT calculation with r2SCAN was carried out for an optimized crystal structure of Cu10Sn3.

```
data_Cu10Sn3
_cell_length_a 7.269
_cell_length_b 7.269
_cell_length_c 7.874
_cell_angle_alpha 90.00
_cell_angle_beta 90.00
_cell_angle_gamma 120.00
_space_group_name_H-M_alt 'P 1'
_space_group_IT_number 1
loop_
_space_group_symop_operation_xyz
'x,y,z'
loop_
_atom_site_label
_atom_site_fract_x
_atom_site_fract_y
_atom_site_fract_z
Cu1 0.667 0.333 0.574
Cu2 0.970 0.329 0.413
Cu3 0.359 0.030 0.413
Cu4 0.641 0.970 0.913
Cu5 0.000 0.000 0.494
Cu6 0.667 0.333 0.247
Cu7 0.030 0.671 0.579
Cu8 0.333 0.667 0.747
Cu9 0.333 0.667 0.074
Cu10 0.333 0.667 0.420
Cu11 0.030 0.671 0.913
Cu12 0.667 0.333 0.920
Cu13 0.642 0.970 0.579
Cu14 0.671 0.641 0.413
Cu15 0.329 0.358 0.579
Cu16 0.358 0.030 0.079
Cu17 0.671 0.642 0.079
Cu18 0.329 0.359 0.913
Cu19 0.970 0.329 0.079
Cu20 0.000 0.000 0.994
Sn1 0.683 0.977 0.246
Sn2 0.023 0.706 0.246
Sn3 0.317 0.023 0.746
Sn4 0.977 0.294 0.746
Sn5 0.294 0.317 0.246
Sn6 0.706 0.683 0.746
```

Table of formation energy (meV per atom), in record order: -527; -382; -484; -3293; -269; -1269; -1268; 32